1.
The following is a PBE calculation of crystalline Na6Mg2Ta4Si3P6O36 at its relaxed geometry, from the Materials Project.

a = 8.918 Å, b = 8.918 Å, c = 22.432 Å
α = 90.14°, β = 89.86°, γ = 120.21°
Fractional coordinates of all 114 atoms:
O 0.839 0.307 0.522
O 0.347 0.487 0.073
O 0.294 0.472 0.755
O 0.801 0.980 0.413
O 0.980 0.820 0.091
O 0.509 0.130 0.921
O 0.886 0.523 0.149
O 0.801 0.826 0.194
O 0.174 0.199 0.694
O 0.832 0.805 0.591
O 0.165 0.191 0.415
O 0.476 0.170 0.530
O 0.203 0.023 0.307
O 0.879 0.376 0.641
O 0.297 0.828 0.256
O 0.966 0.154 0.592
O 0.149 0.475 0.972
O 0.846 0.034 0.092
O 0.361 0.497 0.355
O 0.823 0.801 0.306
O 0.328 0.490 0.470
O 0.840 0.531 0.744
O 0.178 0.977 0.913
O 0.503 0.639 0.855
O 0.180 0.020 0.591
O 0.028 0.198 0.199
O 0.172 0.703 0.756
O 0.479 0.371 0.144
O 0.632 0.481 0.922
O 0.151 0.650 0.074
O 0.624 0.121 0.141
O 0.848 0.324 0.249
O 0.809 0.835 0.915
O 0.977 0.797 0.807
O 0.029 0.830 0.696
O 0.629 0.521 0.644
O 0.199 0.177 0.806
O 0.023 0.822 0.413
O 0.159 0.681 0.471
O 0.477 0.114 0.649
O 0.472 0.327 0.746
O 0.525 0.851 0.472
O 0.357 0.863 0.860
O 0.676 0.152 0.749
O 0.860 0.364 0.921
O 0.350 0.849 0.574
O 0.020 0.199 0.913
O 0.170 0.971 0.196
O 0.870 0.491 0.421
O 0.802 0.972 0.699
O 0.830 0.524 0.030
O 0.693 0.161 0.022
O 0.519 0.368 0.422
O 0.513 0.653 0.573
O 0.510 0.672 0.970
O 0.469 0.160 0.244
O 0.528 0.706 0.255
O 0.805 0.013 0.812
O 0.153 0.492 0.572
O 0.694 0.530 0.531
O 0.636 0.140 0.421
O 0.508 0.847 0.072
O 0.507 0.867 0.361
O 0.195 0.168 0.091
O 0.673 0.528 0.246
O 0.987 0.195 0.312
O 0.133 0.493 0.861
O 0.470 0.306 0.031
O 0.523 0.826 0.755
O 0.174 0.477 0.255
O 0.137 0.643 0.360
O 0.319 0.841 0.971
P 0.712 0.715 0.252
P 0.333 0.956 0.917
P 0.378 0.334 0.087
P 0.289 0.003 0.252
P 0.044 0.667 0.417
P 0.666 0.622 0.587
P 0.042 0.378 0.918
P 0.622 0.958 0.418
P 0.997 0.711 0.752
P 0.712 0.004 0.755
P 0.285 0.288 0.752
P 0.996 0.288 0.255
Na 0.370 0.017 0.741
Na 0.684 0.349 0.827
Na 0.365 0.355 0.243
Na 0.967 0.287 0.412
Na 0.983 0.630 0.241
Na 0.651 0.316 0.327
Na 0.645 0.635 0.743
Na 0.713 0.033 0.912
Na 0.009 0.992 0.492
Na 0.347 0.695 0.162
Na 0.305 0.653 0.662
Na 0.008 0.991 0.992
Ta 0.659 0.330 0.482
Ta 0.329 0.660 0.812
Ta 0.340 0.671 0.312
Ta 0.670 0.341 0.982
Ta 0.337 0.668 0.022
Ta 0.332 0.663 0.522
Ta 0.995 0.998 0.143
Ta 0.002 0.005 0.643
Si 0.376 0.041 0.589
Si 0.952 0.333 0.585
Si 0.339 0.374 0.415
Si 0.959 0.624 0.089
Si 0.626 0.661 0.915
Si 0.667 0.048 0.085
Mg 0.674 0.331 0.684
Mg 0.004 0.998 0.356
Mg 0.002 0.996 0.856
Mg 0.669 0.326 0.184

## Properties
- ΔE_f (eV per atom) = -2.9627
- uncorrected energy (eV per atom) = -7.537

***

2.
The following is a PBE calculation of crystalline Na8MgTi3Si4P2O24 at its relaxed geometry, from the Materials Project.

a = 9.003 Å, b = 9.019 Å, c = 21.957 Å
α = 89.96°, β = 89.99°, γ = 120.09°
Fractional coordinates of all 126 atoms:
Mg 0.002 0.000 0.353
Mg 0.665 0.331 0.686
Mg 0.666 0.333 0.182
O 0.171 0.475 0.255
O 0.853 0.482 0.421
O 0.490 0.377 0.145
O 0.176 0.972 0.194
O 0.885 0.371 0.640
O 0.026 0.187 0.911
O 0.887 0.511 0.145
O 0.297 0.466 0.753
O 0.522 0.819 0.754
O 0.808 0.971 0.691
O 0.831 0.523 0.749
O 0.313 0.478 0.476
O 0.154 0.653 0.075
O 0.533 0.700 0.975
O 0.179 0.697 0.754
O 0.473 0.169 0.525
O 0.854 0.360 0.921
O 0.798 0.974 0.412
O 0.633 0.134 0.421
O 0.641 0.494 0.921
O 0.493 0.113 0.644
O 0.368 0.504 0.358
O 0.346 0.846 0.574
O 0.981 0.812 0.810
O 0.814 0.838 0.912
O 0.499 0.634 0.857
O 0.164 0.979 0.911
O 0.526 0.698 0.254
O 0.841 0.022 0.091
O 0.845 0.317 0.247
O 0.140 0.635 0.358
O 0.164 0.690 0.475
O 0.029 0.204 0.194
O 0.832 0.535 0.025
O 0.978 0.173 0.587
O 0.143 0.495 0.576
O 0.814 0.794 0.309
O 0.306 0.831 0.254
O 0.465 0.297 0.025
O 0.018 0.829 0.414
O 0.185 0.028 0.587
O 0.624 0.113 0.145
O 0.503 0.867 0.359
O 0.033 0.834 0.691
O 0.700 0.534 0.525
O 0.194 0.175 0.808
O 0.703 0.168 0.025
O 0.473 0.157 0.247
O 0.164 0.190 0.415
O 0.136 0.502 0.856
O 0.500 0.846 0.075
O 0.978 0.185 0.309
O 0.172 0.199 0.693
O 0.532 0.843 0.473
O 0.209 0.023 0.309
O 0.832 0.022 0.810
O 0.978 0.818 0.090
O 0.367 0.866 0.857
O 0.347 0.500 0.075
O 0.167 0.468 0.975
O 0.840 0.819 0.587
O 0.182 0.160 0.091
O 0.684 0.529 0.247
O 0.462 0.305 0.748
O 0.498 0.654 0.575
O 0.691 0.167 0.749
O 0.508 0.148 0.921
O 0.798 0.825 0.194
O 0.842 0.306 0.526
O 0.511 0.364 0.421
O 0.300 0.834 0.975
O 0.623 0.508 0.644
Ti 0.332 0.667 0.519
Ti 0.993 0.995 0.854
Ti 0.662 0.342 0.482
Ti 0.667 0.333 0.982
Ti 0.997 0.989 0.648
Ti 0.333 0.666 0.018
Ti 0.335 0.673 0.815
Ti 0.000 0.999 0.143
Ti 0.328 0.659 0.316
Na 0.629 0.620 0.747
Na 0.004 0.001 0.497
Na 0.660 0.691 0.084
Na 0.712 0.674 0.413
Na 0.669 0.333 0.831
Na 0.306 0.334 0.587
Na 0.374 0.363 0.243
Na 0.635 0.008 0.244
Na 0.990 0.628 0.243
Na 0.032 0.698 0.584
Na 0.990 0.370 0.749
Na 0.337 0.671 0.668
Na 0.334 0.297 0.917
Na 0.964 0.665 0.918
Na 0.334 0.668 0.163
Na 0.322 0.035 0.415
Na 0.963 0.290 0.415
Na 0.702 0.038 0.918
Na 0.668 0.334 0.330
Na 0.031 0.340 0.084
Na 0.663 0.971 0.587
Na 0.001 0.001 0.998
Na 0.309 0.969 0.084
Na 0.381 0.008 0.745
P 0.284 0.287 0.750
P 0.619 0.956 0.416
P 0.958 0.335 0.583
P 0.293 0.999 0.252
P 0.707 0.709 0.252
P 0.001 0.292 0.252
Si 0.334 0.376 0.418
Si 0.960 0.624 0.085
Si 0.622 0.665 0.916
Si 0.376 0.336 0.085
Si 0.375 0.041 0.585
Si 0.664 0.040 0.085
Si 0.002 0.708 0.752
Si 0.708 0.998 0.750
Si 0.334 0.959 0.917
Si 0.043 0.377 0.916
Si 0.664 0.627 0.585
Si 0.039 0.662 0.417

## Properties
- ΔE_f (eV per atom) = -2.9345
- uncorrected energy (eV per atom) = -6.998

***

3.
The following is a PBE calculation of crystalline Na7MgTi3Si3P3O24 at its relaxed geometry, from the Materials Project.

a = 8.954 Å, b = 8.948 Å, c = 21.980 Å
α = 89.89°, β = 90.25°, γ = 119.94°
Fractional coordinates of all 123 atoms:
O 0.515 0.368 0.423
O 0.972 0.154 0.589
O 0.310 0.846 0.974
O 0.133 0.628 0.357
O 0.342 0.499 0.075
O 0.371 0.503 0.356
O 0.491 0.380 0.144
O 0.172 0.474 0.251
O 0.844 0.320 0.245
O 0.983 0.821 0.807
O 0.155 0.507 0.577
O 0.838 0.017 0.090
O 0.495 0.846 0.075
O 0.309 0.479 0.473
O 0.630 0.146 0.423
O 0.532 0.829 0.755
O 0.511 0.658 0.578
O 0.848 0.357 0.923
O 0.703 0.175 0.028
O 0.976 0.808 0.089
O 0.032 0.189 0.911
O 0.353 0.860 0.579
O 0.180 0.158 0.090
O 0.497 0.138 0.921
O 0.190 0.021 0.588
O 0.532 0.691 0.976
O 0.802 0.824 0.193
O 0.166 0.197 0.695
O 0.830 0.025 0.806
O 0.834 0.302 0.526
O 0.465 0.297 0.025
O 0.834 0.535 0.029
O 0.633 0.487 0.922
O 0.835 0.808 0.588
O 0.499 0.638 0.857
O 0.176 0.977 0.193
O 0.143 0.652 0.075
O 0.640 0.524 0.644
O 0.301 0.471 0.754
O 0.181 0.699 0.755
O 0.473 0.158 0.247
O 0.798 0.971 0.692
O 0.206 0.020 0.308
O 0.022 0.199 0.193
O 0.174 0.981 0.911
O 0.201 0.181 0.809
O 0.687 0.527 0.246
O 0.464 0.155 0.527
O 0.853 0.486 0.423
O 0.355 0.866 0.859
O 0.814 0.793 0.308
O 0.888 0.519 0.142
O 0.483 0.124 0.642
O 0.169 0.190 0.413
O 0.021 0.831 0.414
O 0.302 0.828 0.252
O 0.166 0.693 0.477
O 0.887 0.374 0.646
O 0.625 0.112 0.146
O 0.465 0.306 0.746
O 0.831 0.523 0.751
O 0.693 0.535 0.529
O 0.977 0.186 0.308
O 0.133 0.496 0.856
O 0.526 0.838 0.478
O 0.164 0.471 0.975
O 0.688 0.155 0.747
O 0.031 0.835 0.690
O 0.495 0.865 0.358
O 0.527 0.697 0.251
O 0.815 0.838 0.911
O 0.810 0.980 0.414
Ti 0.671 0.330 0.480
Ti 0.988 0.990 0.856
Ti 0.001 0.006 0.146
Ti 0.334 0.667 0.318
Ti 0.341 0.663 0.017
Ti 0.008 0.005 0.645
Ti 0.324 0.662 0.816
Ti 0.328 0.657 0.518
Ti 0.672 0.331 0.979
Na 0.322 0.035 0.416
Na 0.990 0.370 0.744
Na 0.662 0.689 0.086
Na 0.337 0.669 0.166
Na 0.713 0.677 0.416
Na 0.990 0.992 0.996
Na 0.333 0.297 0.917
Na 0.631 0.623 0.747
Na 0.994 0.631 0.248
Na 0.309 0.971 0.084
Na 0.665 0.969 0.582
Na 0.665 0.334 0.332
Na 0.635 0.008 0.246
Na 0.029 0.692 0.585
Na 0.681 0.340 0.835
Na 0.966 0.287 0.415
Na 0.375 0.367 0.246
Na 0.375 0.005 0.746
Na 0.028 0.336 0.082
Na 0.008 0.010 0.496
Na 0.329 0.653 0.664
P 0.001 0.294 0.251
P 0.286 0.288 0.752
P 0.376 0.044 0.585
P 0.665 0.624 0.585
P 0.959 0.625 0.084
P 0.711 0.997 0.750
P 0.334 0.956 0.917
P 0.709 0.709 0.251
P 0.291 0.999 0.251
Si 0.621 0.957 0.419
Si 0.626 0.665 0.915
Si 0.037 0.373 0.917
Si 0.042 0.664 0.418
Si 0.375 0.334 0.084
Si 0.663 0.039 0.085
Si 0.338 0.377 0.416
Si 0.964 0.335 0.586
Si 0.002 0.711 0.750
Mg 0.672 0.340 0.685
Mg 0.999 0.999 0.355
Mg 0.663 0.332 0.182

## Properties
- ΔE_f (eV per atom) = -2.9367
- uncorrected energy (eV per atom) = -7.067